1.
## CaCu2As2 (r2SCAN)

Data for crystalline CaCu2As2 at its relaxed geometry.

Lattice parameters (Å, degrees): 6.099 6.099 6.099 141.02 141.02 56.31
Sites, in units of the cell vectors:
Cu: 0.250 0.750 0.500
Cu: 0.750 0.250 0.500
As: 0.624 0.624 0.000
As: 0.376 0.376 0.000
Ca: 0.000 0.000 0.000

Its total energy is -60.9 eV per cell.

***

2.
## La3SiPd5 (r2SCAN)

Data for crystalline La3SiPd5 at its relaxed geometry.

Lattice parameters (Å, degrees): 7.483 7.683 8.505 116.85 116.10 90.00
Sites, in units of the cell vectors:
La: 0.451 0.220 0.402
La: 0.250 0.383 0.000
La: 0.549 0.780 0.598
La: 0.951 0.181 0.402
La: 0.750 0.617 0.000
La: 0.049 0.819 0.598
Pd: 0.589 0.829 0.284
Pd: 0.500 0.000 0.000
Pd: 0.000 0.000 0.000
Pd: 0.695 0.454 0.284
Pd: 0.305 0.546 0.716
Pd: 0.089 0.454 0.284
Pd: 0.805 0.171 0.716
Pd: 0.195 0.829 0.284
Pd: 0.411 0.171 0.716
Pd: 0.911 0.546 0.716
Si: 0.750 0.212 0.000
Si: 0.250 0.788 0.000

Its total energy is -442.2 eV per cell.

***

3.
## RbYbO3 (r2SCAN)

Data for crystalline RbYbO3 at its relaxed geometry.

Lattice parameters (Å, degrees): 4.393 4.393 4.393 90.00 90.00 90.00
Sites, in units of the cell vectors:
O: 0.500 0.500 0.000
O: 0.000 0.500 0.500
O: 0.500 0.000 0.500
Yb: 0.500 0.500 0.500
Rb: 0.000 0.000 0.000

Its total energy is -79.0 eV per cell.

***

4.
## LuNiSn (r2SCAN)

Data for crystalline LuNiSn at its relaxed geometry.

Lattice parameters (Å, degrees): 6.913 4.385 7.584 90.00 90.00 90.00
Sites, in units of the cell vectors:
Lu: 0.988 0.250 0.701
Lu: 0.512 0.750 0.201
Lu: 0.488 0.250 0.799
Lu: 0.012 0.750 0.299
Sn: 0.811 0.250 0.086
Sn: 0.689 0.750 0.586
Sn: 0.189 0.750 0.914
Sn: 0.311 0.250 0.414
Ni: 0.707 0.250 0.415
Ni: 0.207 0.250 0.085
Ni: 0.293 0.750 0.585
Ni: 0.793 0.750 0.915

Its total energy is -307.5 eV per cell.

***

5.
## YbPrAu2 (r2SCAN)

Data for crystalline YbPrAu2 at its relaxed geometry.

Lattice parameters (Å, degrees): 5.127 5.127 5.127 60.00 60.00 60.00
Sites, in units of the cell vectors:
Yb: 0.000 0.000 0.000
Pr: 0.500 0.500 0.500
Au: 0.750 0.750 0.750
Au: 0.250 0.250 0.250

Its total energy is -170.6 eV per cell.

***

6.
## RuCl3 (r2SCAN)

Data for crystalline RuCl3 at its relaxed geometry.

Lattice parameters (Å, degrees): 5.670 6.281 10.833 90.00 90.00 90.00
Sites, in units of the cell vectors:
Cl: 0.500 0.596 0.150
Cl: 0.500 0.554 0.500
Cl: 0.000 0.954 0.500
Cl: 0.500 0.104 0.349
Cl: 0.500 0.046 0.000
Cl: 0.000 0.446 0.000
Cl: 0.000 0.404 0.650
Cl: 0.500 0.596 0.850
Cl: 0.000 0.896 0.849
Cl: 0.000 0.896 0.151
Cl: 0.000 0.404 0.350
Cl: 0.500 0.104 0.651
Ru: 0.250 0.254 0.500
Ru: 0.250 0.746 0.000
Ru: 0.750 0.746 0.000
Ru: 0.750 0.254 0.500

Its total energy is -186.3 eV per cell.

***

7.
## KSbCl6 (r2SCAN)

Data for crystalline KSbCl6 at its relaxed geometry.

Lattice parameters (Å, degrees): 6.801 6.801 11.947 81.10 81.10 55.61
Sites, in units of the cell vectors:
Cl: 0.467 0.693 0.612
Cl: 0.533 0.307 0.388
Cl: 0.793 0.912 0.034
Cl: 0.794 0.612 0.833
Cl: 0.612 0.794 0.333
Cl: 0.388 0.206 0.667
Cl: 0.912 0.793 0.534
Cl: 0.207 0.088 0.966
Cl: 0.307 0.533 0.888
Cl: 0.693 0.467 0.112
Cl: 0.088 0.207 0.466
Cl: 0.206 0.388 0.167
Sb: 0.500 0.000 0.500
Sb: 0.000 0.500 0.000
K: 0.082 0.918 0.250
K: 0.918 0.082 0.750

Its total energy is -156.1 eV per cell.

***

8.
## Sr5Nb5O17 (r2SCAN)

Data for crystalline Sr5Nb5O17 at its relaxed geometry.

Lattice parameters (Å, degrees): 4.029 5.714 32.847 90.00 90.00 90.00
Sites, in units of the cell vectors:
O: 0.000 0.799 0.291
O: 0.000 0.782 0.464
O: 0.500 0.989 0.417
O: 0.000 0.000 0.000
O: 0.000 0.704 0.380
O: 0.000 0.511 0.917
O: 0.500 0.724 0.133
O: 0.000 0.224 0.367
O: 0.000 0.296 0.620
O: 0.000 0.201 0.709
O: 0.000 0.278 0.451
O: 0.500 0.817 0.220
O: 0.000 0.002 0.169
O: 0.000 0.683 0.720
O: 0.500 0.299 0.209
O: 0.500 0.183 0.780
O: 0.500 0.796 0.880
O: 0.500 0.204 0.120
O: 0.500 0.502 0.331
O: 0.500 0.276 0.867
O: 0.000 0.722 0.549
O: 0.000 0.317 0.280
O: 0.500 0.498 0.669
O: 0.000 0.218 0.536
O: 0.500 0.282 0.036
O: 0.500 0.778 0.049
O: 0.000 0.998 0.831
O: 0.500 0.500 0.500
O: 0.500 0.701 0.791
O: 0.000 0.776 0.633
O: 0.500 0.011 0.583
O: 0.500 0.222 0.951
O: 0.500 0.718 0.964
O: 0.000 0.489 0.083
Nb: 0.000 0.535 0.323
Nb: 0.500 0.505 0.090
Nb: 0.000 0.995 0.590
Nb: 0.500 0.035 0.177
Nb: 0.000 0.500 0.500
Nb: 0.500 0.495 0.910
Nb: 0.000 0.005 0.410
Nb: 0.000 0.465 0.677
Nb: 0.500 0.000 0.000
Nb: 0.500 0.965 0.823
Sr: 0.000 0.568 0.216
Sr: 0.000 0.500 0.000
Sr: 0.500 0.504 0.590
Sr: 0.000 0.432 0.784
Sr: 0.000 0.996 0.090
Sr: 0.000 0.004 0.910
Sr: 0.500 0.068 0.284
Sr: 0.500 0.496 0.410
Sr: 0.500 0.000 0.500
Sr: 0.500 0.932 0.716

Its total energy is -768.6 eV per cell.

***

9.
## Tb2CdNi2 (r2SCAN)

Data for crystalline Tb2CdNi2 at its relaxed geometry.

Lattice parameters (Å, degrees): 7.382 7.382 3.639 90.00 90.00 149.32
Sites, in units of the cell vectors:
Tb: 0.362 0.638 0.500
Tb: 0.638 0.362 0.500
Ni: 0.799 0.201 0.000
Ni: 0.201 0.799 0.000
Cd: 0.000 0.000 0.000

Its total energy is -108.7 eV per cell.

***

10.
## Al2GaN3 (r2SCAN)

Data for crystalline Al2GaN3 at its relaxed geometry.

Lattice parameters (Å, degrees): 5.949 5.949 7.414 75.72 75.72 30.52
Sites, in units of the cell vectors:
Al: 0.111 0.111 0.777
Al: 0.777 0.777 0.444
Al: 0.056 0.056 0.389
Al: 0.446 0.446 0.113
N: 0.182 0.182 0.515
N: 0.235 0.235 0.901
N: 0.568 0.568 0.244
N: 0.853 0.853 0.185
N: 0.905 0.905 0.564
N: 0.519 0.519 0.853
Ga: 0.723 0.723 0.058
Ga: 0.390 0.390 0.722

Its total energy is -120.7 eV per cell.

***

11.
## LiIn2Pd (r2SCAN)

Data for crystalline LiIn2Pd at its relaxed geometry.

Lattice parameters (Å, degrees): 4.638 4.638 4.638 60.00 60.00 60.00
Sites, in units of the cell vectors:
In: 0.750 0.750 0.750
In: 0.250 0.250 0.250
Li: 0.000 0.000 0.000
Pd: 0.500 0.500 0.500

Its total energy is -72.6 eV per cell.

***

12.
## Rb2FeI4 (r2SCAN)

Data for crystalline Rb2FeI4 at its relaxed geometry.

Lattice parameters (Å, degrees): 7.764 8.245 10.403 90.00 109.57 90.00
Sites, in units of the cell vectors:
I: 0.417 0.251 0.638
I: 0.583 0.751 0.362
I: 0.983 0.494 0.724
I: 0.990 0.990 0.731
I: 0.625 0.749 0.943
I: 0.017 0.994 0.276
I: 0.010 0.490 0.269
I: 0.375 0.249 0.057
Rb: 0.200 0.739 0.040
Rb: 0.800 0.239 0.960
Rb: 0.714 0.240 0.419
Rb: 0.286 0.740 0.581
Fe: 0.792 0.745 0.209
Fe: 0.208 0.245 0.791

Its total energy is -297.1 eV per cell.

***

Q: Which M_tot values were calculated for the entries above? A: 0.00, 0.00, 2.00, 0.00, 0.00, 0.53, 0.00, 0.00, 0.00, 0.00, 0.00, 4.00, in μB/f.u..
Q: Which ΔH_f (0 K) values were calculated for the entries above? A: -557, -923, -2133, -686, -870, -671, -1173, -3088, -442, -1339, -520, -1147, in meV/atom.